Entry 1:
The following is a DFT calculation (PBE with a Hubbard U) of LiNi2S3O12 after structural relaxation.

Cell lengths 8.6798, 8.6798, 8.6798 Å; angles 59.43, 59.43, 59.43 degrees
Fractional positions:
Li 0.0000 0.0000 0.0000
Li 0.5000 0.5000 0.5000
Ni 0.1444 0.1444 0.1444
Ni 0.3556 0.3556 0.3556
Ni 0.6444 0.6444 0.6444
Ni 0.8556 0.8556 0.8556
S 0.0444 0.7500 0.4556
S 0.2500 0.5444 0.9556
S 0.4556 0.0444 0.7500
S 0.5444 0.9556 0.2500
S 0.7500 0.4556 0.0444
S 0.9556 0.2500 0.5444
O 0.0087 0.8095 0.6041
O 0.0632 0.9075 0.2665
O 0.0925 0.7335 0.9368
O 0.1041 0.3095 0.5087
O 0.1905 0.3959 0.9913
O 0.2335 0.5925 0.4368
O 0.2665 0.0632 0.9075
O 0.3095 0.5087 0.1041
O 0.3959 0.9913 0.1905
O 0.4075 0.5632 0.7665
O 0.4368 0.2335 0.5925
O 0.4913 0.8959 0.6905
O 0.5087 0.1041 0.3095
O 0.5632 0.7665 0.4075
O 0.5925 0.4368 0.2335
O 0.6041 0.0087 0.8095
O 0.6905 0.4913 0.8959
O 0.7335 0.9368 0.0925
O 0.7665 0.4075 0.5632
O 0.8095 0.6041 0.0087
O 0.8959 0.6905 0.4913
O 0.9075 0.2665 0.0632
O 0.9368 0.0925 0.7335
O 0.9913 0.1905 0.3959

Properties
- SG: No. 167
- Calculated total energy: -5.751 eV per atom
- Polymorph energy (0 for the lowest one): 0.0 kJ per mole of atoms

---

Entry 2:
The following is a DFT calculation (PBE with a Hubbard U) of LiNiS2O8 after structural relaxation.

Cell lengths 8.4232, 8.4506, 8.9852 Å; angles 62.30, 62.38, 60.15 degrees
Fractional positions:
Li 0.0000 0.0000 0.0000
Li 0.0193 0.6180 0.0794
Li 0.6108 0.2643 0.0775
Ni 0.1934 0.1983 0.3841
Ni 0.4798 0.4919 0.5162
Ni 0.6857 0.6962 0.9004
S 0.0856 0.8024 0.6946
S 0.3020 0.5928 0.1970
S 0.3842 0.0952 0.6961
S 0.5867 0.8827 0.1951
S 0.7948 0.3959 0.6946
S 0.8758 0.3126 0.1993
O 0.0718 0.2261 0.2143
O 0.1068 0.8078 0.8487
O 0.1370 0.9508 0.5314
O 0.1791 0.7934 0.1468
O 0.1972 0.1251 0.8364
O 0.2126 0.6066 0.6784
O 0.2165 0.4659 0.2074
O 0.3273 0.5346 0.3691
O 0.3613 0.1424 0.5243
O 0.4692 0.0830 0.2072
O 0.4694 0.2218 0.6815
O 0.4959 0.5504 0.0577
O 0.5149 0.8912 0.7384
O 0.5267 0.7455 0.3660
O 0.5518 0.8737 0.0511
O 0.5978 0.4809 0.6788
O 0.7316 0.3405 0.3685
O 0.7929 0.8470 0.1497
O 0.8007 0.2155 0.8466
O 0.8237 0.5292 0.7362
O 0.8399 0.1945 0.1470
O 0.8666 0.5054 0.0573
O 0.8819 0.8330 0.7338
O 0.9437 0.3612 0.5304

Properties
- SG: No. 1
- Calculated total energy: -5.730 eV per atom
- Polymorph energy (0 for the lowest one): 0.0 kJ per mole of atoms

---

Entry 3:
The following is a DFT calculation (PBE with a Hubbard U) of LiNi2S3O12 after structural relaxation.

Cell lengths 8.4630, 8.7363, 14.7152 Å; angles 90.00, 124.50, 90.00 degrees
Fractional positions:
Li 0.0087 0.2176 0.3213
Li 0.0087 0.2824 0.8213
Li 0.9913 0.7176 0.1787
Li 0.9913 0.7824 0.6787
Ni 0.1435 0.5379 0.3907
Ni 0.1435 0.9621 0.8907
Ni 0.3664 0.5336 0.1168
Ni 0.3664 0.9664 0.6168
Ni 0.6336 0.0336 0.3832
Ni 0.6336 0.4664 0.8832
Ni 0.8565 0.0379 0.1093
Ni 0.8565 0.4621 0.6093
S 0.0359 0.1116 0.6458
S 0.0359 0.3884 0.1458
S 0.2535 0.6166 0.6497
S 0.2535 0.8834 0.1497
S 0.4570 0.2491 0.4932
S 0.4570 0.2509 0.9932
S 0.5430 0.7491 0.0068
S 0.5430 0.7509 0.5068
S 0.7465 0.1166 0.8503
S 0.7465 0.3834 0.3503
S 0.9641 0.6116 0.8542
S 0.9641 0.8884 0.3542
O 0.0153 0.2381 0.1868
O 0.0153 0.2619 0.6868
O 0.0921 0.5073 0.2322
O 0.0921 0.9927 0.7322
O 0.1084 0.5831 0.6754
O 0.1084 0.9169 0.1754
O 0.1503 0.5637 0.9534
O 0.1503 0.9363 0.4534
O 0.1686 0.5833 0.5330
O 0.1686 0.9167 0.0330
O 0.1849 0.1247 0.6225
O 0.1849 0.3753 0.1225
O 0.2607 0.1825 0.9384
O 0.2607 0.3175 0.4384
O 0.2877 0.7149 0.1719
O 0.2877 0.7851 0.6719
O 0.3977 0.6319 0.4402
O 0.3977 0.8681 0.9402
O 0.4282 0.5244 0.7201
O 0.4282 0.9756 0.2201
O 0.4693 0.1903 0.4026
O 0.4693 0.3097 0.9026
O 0.4831 0.1266 0.5695
O 0.4831 0.3734 0.0695
O 0.5169 0.6266 0.9305
O 0.5169 0.8734 0.4305
O 0.5307 0.6903 0.0974
O 0.5307 0.8097 0.5974
O 0.5718 0.0244 0.7799
O 0.5718 0.4756 0.2799
O 0.6023 0.1319 0.0598
O 0.6023 0.3681 0.5598
O 0.7123 0.2149 0.3281
O 0.7123 0.2851 0.8281
O 0.7393 0.6825 0.5616
O 0.7393 0.8175 0.0616
O 0.8151 0.6247 0.8775
O 0.8151 0.8753 0.3775
O 0.8314 0.0833 0.9670
O 0.8314 0.4167 0.4670
O 0.8497 0.0637 0.5466
O 0.8497 0.4363 0.0466
O 0.8916 0.0831 0.8246
O 0.8916 0.4169 0.3246
O 0.9079 0.0073 0.2678
O 0.9079 0.4927 0.7678
O 0.9847 0.7381 0.3132
O 0.9847 0.7619 0.8132

Properties
- SG: No. 14
- Calculated total energy: -5.746 eV per atom
- Polymorph energy (0 for the lowest one): 0.5 kJ per mole of atoms

---

Entry 4:
The following is a DFT calculation (PBE with a Hubbard U) of Li3Ni3SbO8 after structural relaxation.

Cell lengths 5.9387, 5.9590, 5.9983 Å; angles 119.67, 90.06, 119.84 degrees
Fractional positions:
Li 0.0000 0.0000 0.0000
Li 0.0000 0.5000 0.0000
Li 0.5000 0.0000 0.0000
Ni 0.0000 0.0000 0.5000
Ni 0.5000 0.0000 0.5000
Ni 0.5000 0.5000 0.5000
Sb 0.0000 0.5000 0.5000
O 0.2352 0.9709 0.7252
O 0.2372 0.4962 0.7309
O 0.2425 0.5036 0.2704
O 0.2671 0.0363 0.2998
O 0.7329 0.9637 0.7002
O 0.7575 0.4964 0.7296
O 0.7628 0.5038 0.2691
O 0.7648 0.0291 0.2748

Properties
- SG: No. 2
- Calculated total energy: -5.207 eV per atom

---

Entry 5:
The following is a DFT calculation (PBE with a Hubbard U) of Li3Ni2SbO6 after structural relaxation.

Cell lengths 5.2308, 5.2308, 5.2314 Å; angles 99.97, 99.97, 119.76 degrees
Fractional positions:
Li 0.0000 0.0000 0.0000
Li 0.3287 0.6713 0.0000
Li 0.6713 0.3287 0.0000
Ni 0.1666 0.8334 0.5000
Ni 0.8334 0.1666 0.5000
Sb 0.5000 0.5000 0.5000
O 0.1013 0.4210 0.2672
O 0.2590 0.2590 0.7290
O 0.4210 0.1013 0.2672
O 0.5790 0.8987 0.7328
O 0.7410 0.7410 0.2710
O 0.8987 0.5790 0.7328

Properties
- SG: No. 12
- Calculated total energy: -5.406 eV per atom
- Polymorph energy (0 for the lowest one): 0.0 kJ per mole of atoms

---

Entry 6:
The following is a DFT calculation (PBE with a Hubbard U) of LiNiSbO4 after structural relaxation.

Cell lengths 6.0566, 8.6311, 6.2117 Å; angles 90.00, 90.00, 90.00 degrees
Fractional positions:
O 0.9762 0.2522 0.0000
O 0.7500 0.0225 0.2703
Li 0.2500 0.1073 0.0000
Ni 0.5000 0.0000 0.5000
O 0.7500 0.4775 0.2297
O 0.0238 0.7522 0.5000
O 0.7500 0.0225 0.7298
Ni 0.0000 0.0000 0.5000
Sb 0.7500 0.2500 0.2500
O 0.2500 0.5225 0.2297
Ni 0.0000 0.5000 0.0000
O 0.2500 0.9775 0.2702
O 0.7500 0.4775 0.7703
Li 0.7500 0.6073 0.5000
Li 0.7500 0.8927 0.0000
O 0.4762 0.7478 0.0000
O 0.4762 0.7522 0.5000
Sb 0.7500 0.2500 0.7500
O 0.5238 0.2522 0.0000
O 0.2500 0.9775 0.7297
Li 0.2500 0.3927 0.5000
Ni 0.5000 0.5000 0.0000
Sb 0.2500 0.7500 0.2500
O 0.0238 0.7478 0.0000
Sb 0.2500 0.7500 0.7500
O 0.5238 0.2478 0.5000
O 0.2500 0.5225 0.7703
O 0.9762 0.2478 0.5000

Properties
- Calculated total energy: -5.642 eV per atom
- Polymorph energy (0 for the lowest one): 0.0 kJ per mole of atoms

---

Energy relative to the elements in meV per atom, matching the order above: -1755 -1771 -1750 -1630 -1914 -1882
Volume in Å³/atom, matching the order above: 12.679 13.003 12.454 10.074 9.719 11.597
Total magnetic moment in μB/atom, matching the order above: 0.278 0.250 0.251 0.267 0.333 0.000